[1]
meta-GGA r2SCAN RuCl3, relaxed; energy relative to the elements = -670 meV per atom; total DFT energy (no corrections) = -11.64 eV/atom; space-group type = No. 11; V = 381.2 Å³ per cell
1.0
5.6762 0.0000 0.0000
0.0000 10.7672 0.0000
-0.0184 0.0000 6.2366
Ru Cl
4 12
Cartesian
5.6701 2.6918 1.5379
-0.0123 8.0754 4.6987
2.8326 2.6918 1.5381
2.8251 8.0754 4.6986
1.4135 1.0622 0.5965
1.4135 4.3213 0.5965
1.4064 6.4457 3.7555
1.4064 9.7051 3.7555
1.4132 2.6918 3.4199
1.4253 8.0754 0.3442
4.2325 2.6918 5.8924
4.2445 8.0754 2.8167
4.2513 1.0621 2.4811
4.2513 4.3215 2.4811
4.2442 6.4458 5.6401
4.2442 9.7049 5.6401

[2]
meta-GGA r2SCAN MnSnF6, relaxed; energy relative to the elements = -2801 meV per atom; total DFT energy (no corrections) = -10.07 eV/atom; space-group type = No. 148; V = 114.1 Å³ per cell
1.0
2.6335 1.5204 4.7478
-2.6335 1.5204 4.7478
0.0000 -3.0409 4.7478
Mn Sn F
1 1 6
Cartesian
0.0000 0.0000 0.0000
0.0000 0.0000 7.1217
-0.6647 -1.4698 5.9703
-1.6052 -0.1593 8.2731
-0.9405 1.3105 5.9703
0.9405 -1.3105 8.2731
1.6052 0.1593 5.9703
0.6647 1.4698 8.2731

[3]
meta-GGA r2SCAN Fe3Ge, relaxed; energy relative to the elements = -18 meV per atom; total DFT energy (no corrections) = -14.30 eV/atom; space-group type = No. 225; V = 47.6 Å³ per cell
1.0
0.0000 2.8756 2.8756
2.8756 0.0000 2.8756
2.8756 2.8756 0.0000
Fe Ge
3 1
Cartesian
0.0000 0.0000 0.0000
1.4378 1.4378 1.4378
4.3134 4.3134 4.3134
2.8756 2.8756 2.8756

[4]
meta-GGA r2SCAN Sm9Sb5O5, relaxed; energy relative to the elements = -2425 meV per atom; total DFT energy (no corrections) = -24.85 eV/atom; space-group type = No. 85; V = 922.0 Å³ per cell
1.0
10.0779 0.0000 0.0000
0.0000 10.0779 0.0000
0.0000 0.0000 9.0776
Sm Sb O
18 10 10
Cartesian
0.2392 3.3462 0.0136
0.4588 8.6038 5.9654
1.4742 5.4977 3.1122
1.6928 0.2392 0.0136
2.5195 2.5195 6.0829
3.3462 4.7997 0.0136
3.5648 9.6191 3.1122
4.5802 6.5131 5.9654
4.7997 1.6928 0.0136
5.2782 8.3851 9.0640
5.4977 3.5648 3.1122
6.5131 0.4588 5.9654
6.7317 5.2782 9.0640
7.5584 7.5584 2.9947
8.3851 9.8387 9.0640
8.6038 4.5802 5.9654
9.6191 1.4742 3.1122
9.8387 6.7317 9.0640
0.5413 8.5288 2.7259
1.5491 5.5802 6.3517
2.5195 2.5195 2.8661
3.4898 9.5366 6.3517
4.4977 6.5881 2.7259
5.5802 3.4898 6.3517
6.5881 0.5413 2.7259
7.5584 7.5584 6.2116
8.5288 4.4977 2.7259
9.5366 1.5491 6.3517
0.2521 8.7731 8.2753
1.3048 5.2910 0.8024
2.5195 2.5195 8.4756
3.7342 9.8259 0.8024
4.7869 6.3437 8.2753
5.2910 3.7342 0.8024
6.3437 0.2521 8.2753
7.5584 7.5584 0.6020
8.7731 4.7869 8.2753
9.8259 1.3048 0.8024

[5]
meta-GGA r2SCAN Al2Pt, relaxed; energy relative to the elements = -990 meV per atom; total DFT energy (no corrections) = -22.64 eV/atom; space-group type = No. 225; V = 51.3 Å³ per cell
1.0
0.0000 2.9492 2.9492
2.9492 0.0000 2.9492
2.9492 2.9492 0.0000
Al Pt
2 1
Cartesian
1.4746 1.4746 1.4746
4.4238 4.4238 4.4238
0.0000 0.0000 0.0000

[6]
meta-GGA r2SCAN Tl16O15F17, relaxed; energy relative to the elements = -1362 meV per atom; total DFT energy (no corrections) = -22.06 eV/atom; space-group type = No. 8; V = 662.2 Å³ per cell
1.0
5.5293 -7.7139 0.0000
5.5293 7.7139 0.0000
-5.5021 0.0000 7.7621
Tl O F
16 15 17
Cartesian
0.0000 0.0000 0.0000
-2.4408 1.8939 5.6440
3.0035 5.7590 2.0016
0.5057 3.8128 3.8700
0.0172 0.0000 3.8300
2.8797 2.0122 1.9697
-2.4408 -1.8939 5.6440
0.5232 3.8594 7.5649
0.1083 0.0000 7.5605
3.1749 2.1511 5.6283
2.8797 -2.0122 1.9697
0.5057 -3.8128 3.8700
3.0035 -5.7590 2.0016
0.5232 -3.8594 7.5649
3.1749 -2.1511 5.6283
6.0568 0.0000 4.0029
1.6543 5.8195 3.7900
-1.0212 1.8896 3.7972
-0.7093 4.0583 5.6972
-1.3982 0.0000 6.0195
-1.0212 -1.8896 3.7972
1.8257 2.0073 3.8590
2.0398 3.9958 5.9618
7.1655 3.7499 1.6568
1.8257 -2.0073 3.8590
-0.7093 -4.0583 5.6972
1.6543 -5.8195 3.7900
2.0398 -3.9958 5.9618
9.5564 0.0000 1.5700
7.1655 -3.7499 1.6568
6.7536 0.0000 6.0314
4.4170 5.5263 0.1075
1.7230 1.7405 0.0949
1.3013 0.0000 1.9874
4.4906 2.1169 0.0873
1.7230 -1.7405 0.0949
4.3710 3.7094 2.1890
3.8399 0.0000 1.4440
1.3215 0.0000 5.6295
1.7574 1.6696 7.5349
4.4413 1.4921 3.6834
4.4906 -2.1169 0.0873
6.5877 0.0000 1.7322
4.4413 -1.4921 3.6834
3.8999 0.0000 6.0034
1.7574 -1.6696 7.5349
4.4170 -5.5263 0.1075
4.3710 -3.7094 2.1890

[7]
meta-GGA r2SCAN BIr, relaxed; energy relative to the elements = -215 meV per atom; total DFT energy (no corrections) = -30.07 eV/atom; space-group type = No. 187; V = 21.7 Å³ per cell
1.0
3.0421 0.0000 0.0000
-1.5211 2.6345 0.0000
0.0000 0.0000 2.7030
B Ir
1 1
Cartesian
0.0000 0.0000 0.0000
1.5211 0.8782 1.3515

[8]
meta-GGA r2SCAN B6O, relaxed; energy relative to the elements = -758 meV per atom; total DFT energy (no corrections) = -7.91 eV/atom; space-group type = No. 166; V = 102.4 Å³ per cell
1.0
2.6882 1.5521 4.0919
-2.6882 1.5521 4.0919
0.0000 -3.1041 4.0919
B O
12 2
Cartesian
0.0000 -1.0280 1.3822
-0.8903 0.5140 1.3822
0.0000 -1.4735 4.4145
-1.2761 0.7368 4.4145
-1.2761 -0.7368 7.8611
0.8903 0.5140 1.3822
-0.8903 -0.5140 10.8934
1.2761 0.7368 4.4145
1.2761 -0.7368 7.8611
0.0000 1.4735 7.8611
0.8903 -0.5140 10.8934
0.0000 1.0280 10.8934
0.0000 0.0000 4.6389
0.0000 0.0000 7.6367

[9]
meta-GGA r2SCAN La3Cd, relaxed; energy relative to the elements = -168 meV per atom; total DFT energy (no corrections) = -27.50 eV/atom; space-group type = No. 194; V = 258.3 Å³ per cell
1.0
7.2750 0.0000 0.0000
-3.6375 6.3004 0.0000
0.0000 0.0000 5.6355
La Cd
6 2
Cartesian
0.0000 2.2659 1.4089
-1.6752 5.1674 1.4089
1.9623 1.1329 4.2266
1.6752 5.1674 1.4089
5.3128 1.1329 4.2266
3.6375 4.0345 4.2266
0.0000 4.2003 4.2266
3.6375 2.1001 1.4089

[10]
meta-GGA r2SCAN V4O5F7, relaxed; energy relative to the elements = -2872 meV per atom; total DFT energy (no corrections) = -9.63 eV/atom; space-group type = No. 1; V = 195.3 Å³ per cell
1.0
5.0570 0.0000 0.0000
2.5241 4.6196 0.0000
0.0271 2.8937 8.3590
V O F
4 5 7
Cartesian
0.0000 0.0000 0.0000
2.4991 4.8177 6.3137
2.7450 1.7470 4.1889
5.2623 3.1340 2.1650
1.4521 2.3064 2.8613
3.1207 6.2792 7.3808
3.9796 2.6036 3.4739
6.2346 3.9342 0.6985
6.2630 5.6059 5.6290
1.6167 4.0779 7.8288
2.1348 3.1265 5.3814
3.6572 4.2647 1.4547
3.7319 5.2853 4.9038
4.1675 3.8011 6.9875
5.6097 4.7667 3.1544
4.6346 1.7725 1.0108

[11]
meta-GGA r2SCAN BaH4O3, relaxed; energy relative to the elements = -1600 meV per atom; total DFT energy (no corrections) = -8.88 eV/atom; space-group type = No. 11; V = 170.0 Å³ per cell
1.0
6.2650 0.0000 0.0000
0.0000 4.1905 0.0000
-2.8911 0.0000 6.4765
Ba H O
2 8 6
Cartesian
0.0175 1.0476 1.8688
3.3564 3.1429 4.6077
-0.9404 1.0476 5.6318
0.0858 2.3425 4.4017
0.0858 3.9433 4.4017
2.0475 3.1429 0.7542
1.3264 1.0476 5.7223
3.2881 0.2472 2.0747
3.2881 1.8481 2.0747
4.3142 3.1429 0.8447
-0.8189 1.0476 4.6705
1.1047 3.1429 0.5403
0.5897 3.1429 4.0458
2.7842 1.0476 2.4306
2.2692 1.0476 5.9362
4.1928 3.1429 1.8060

[12]
meta-GGA r2SCAN ZrBr4, relaxed; energy relative to the elements = -1541 meV per atom; total DFT energy (no corrections) = -16.70 eV/atom; space-group type = No. 205; V = 1639.2 Å³ per cell
1.0
11.7908 0.0000 0.0000
0.0000 11.7908 0.0000
0.0000 0.0000 11.7908
Zr Br
8 32
Cartesian
1.5159 1.5159 1.5159
1.5159 4.3795 7.4113
4.3795 7.4113 1.5159
4.3795 10.2748 7.4113
7.4113 1.5159 4.3795
7.4113 4.3795 10.2748
10.2748 7.4113 4.3795
10.2748 10.2748 10.2748
0.0634 2.9345 0.1048
0.0634 2.9609 6.0001
0.1048 0.0634 2.9345
0.1048 5.8320 8.8298
2.9345 0.1048 0.0634
2.9345 5.7906 5.9587
2.9435 2.9435 2.9435
2.9435 2.9518 8.8389
2.9518 8.8389 2.9435
2.9518 8.8472 8.8389
2.9609 6.0001 0.0634
2.9609 11.6860 5.9587
5.7906 5.9587 2.9345
5.7906 11.7274 8.8298
5.8320 8.8298 0.1048
5.8320 8.8563 6.0001
5.9587 2.9345 5.7906
5.9587 2.9609 11.6860
6.0001 0.0634 2.9609
6.0001 5.8320 8.8563
8.8298 0.1048 5.8320
8.8298 5.7906 11.7274
8.8389 2.9435 2.9518
8.8389 2.9518 8.8472
8.8472 8.8389 2.9518
8.8472 8.8472 8.8472
8.8563 6.0001 5.8320
8.8563 11.6860 11.7274
11.6860 5.9587 2.9609
11.6860 11.7274 8.8563
11.7274 8.8298 5.7906
11.7274 8.8563 11.6860

[13]
meta-GGA r2SCAN LaReN3, relaxed; energy relative to the elements = -923 meV per atom; total DFT energy (no corrections) = -22.83 eV/atom; space-group type = No. 221; V = 61.9 Å³ per cell
1.0
3.9549 0.0000 0.0000
0.0000 3.9549 0.0000
0.0000 0.0000 3.9549
La Re N
1 1 3
Cartesian
0.0000 0.0000 0.0000
1.9774 1.9774 1.9774
0.0000 1.9774 1.9774
1.9774 0.0000 1.9774
1.9774 1.9774 0.0000

[14]
meta-GGA r2SCAN Tm3C4, relaxed; energy relative to the elements = -545 meV per atom; total DFT energy (no corrections) = -21.28 eV/atom; space-group type = No. 128; V = 987.4 Å³ per cell
1.0
7.9254 0.0000 0.0000
0.0000 7.9254 0.0000
0.0000 0.0000 15.7197
Tm C
30 40
Cartesian
0.0000 0.0000 0.0000
0.0000 0.0000 4.9165
0.0000 0.0000 10.8032
0.7583 2.3578 7.8598
0.7920 5.6429 2.2916
0.7920 5.6429 13.4281
1.6049 3.2044 0.0000
1.6802 4.7547 5.5683
1.6802 4.7547 10.1514
2.2825 0.7920 2.2916
2.2825 0.7920 13.4281
2.3578 7.1671 7.8598
3.1708 1.6802 5.5683
3.1708 1.6802 10.1514
3.2044 6.3205 0.0000
3.9627 3.9627 2.9434
3.9627 3.9627 7.8598
3.9627 3.9627 12.7763
4.7211 1.6049 0.0000
4.7547 6.2453 5.5683
4.7547 6.2453 10.1514
5.5676 0.7583 7.8598
5.6429 7.1335 2.2916
5.6429 7.1335 13.4281
6.2453 3.1708 5.5683
6.2453 3.1708 10.1514
6.3205 4.7211 0.0000
7.1335 2.2825 2.2916
7.1335 2.2825 13.4281
7.1671 5.5676 7.8598
0.0000 0.0000 2.4716
0.0000 0.0000 7.2083
0.0000 0.0000 8.5114
0.0000 0.0000 13.2481
0.7777 2.4294 5.1609
0.7777 2.4294 10.5588
0.8415 5.5158 0.0000
1.1876 2.7751 3.9299
1.1876 2.7751 11.7898
1.5333 3.1850 2.6990
1.5333 3.1850 13.0207
1.5531 4.8042 7.8598
2.4096 0.8415 0.0000
2.4294 7.1477 5.1609
2.4294 7.1477 10.5588
2.7751 6.7378 3.9299
2.7751 6.7378 11.7898
3.1212 1.5531 7.8598
3.1850 6.3921 2.6990
3.1850 6.3921 13.0207
3.9627 3.9627 0.6515
3.9627 3.9627 5.3883
3.9627 3.9627 10.3314
3.9627 3.9627 15.0681
4.7404 1.5333 2.6990
4.7404 1.5333 13.0207
4.8042 6.3724 7.8598
5.1503 1.1876 3.9299
5.1503 1.1876 11.7898
5.4960 0.7777 5.1609
5.4960 0.7777 10.5588
5.5158 7.0839 0.0000
6.3724 3.1212 7.8598
6.3921 4.7404 2.6990
6.3921 4.7404 13.0207
6.7378 5.1503 3.9299
6.7378 5.1503 11.7898
7.0839 2.4096 0.0000
7.1477 5.4960 5.1609
7.1477 5.4960 10.5588

[15]
meta-GGA r2SCAN NbMoSe4, relaxed; energy relative to the elements = -846 meV per atom; total DFT energy (no corrections) = -18.85 eV/atom; space-group type = No. 187; V = 135.5 Å³ per cell
1.0
3.4120 0.0000 0.0000
-1.7060 2.9549 0.0000
0.0000 0.0000 13.4416
Nb Mo Se
1 1 4
Cartesian
0.0000 0.0000 0.0000
0.0000 0.0000 6.7208
0.0000 1.9699 1.6989
0.0000 1.9699 11.7427
1.7060 0.9850 5.0960
1.7060 0.9850 8.3455